Density functional theory data (PBE) for a relaxed structure of NaMg6V.

Geometry as CIF:
```
data_NaMg6V
_chemical_formula_sum 'Na2 Mg12 V2'
_cell_length_a 5.190
_cell_length_b 6.334
_cell_length_c 11.067
_cell_angle_alpha 90.00
_cell_angle_beta 90.00
_cell_angle_gamma 90.00
_space_group_name_H-M_alt 'P 1'
_space_group_IT_number 1
_space_group_name_Hall 'P 1'
loop_
_atom_site_label
_atom_site_type_symbol
_atom_site_fract_x
_atom_site_fract_y
_atom_site_fract_z
Mg1 Mg 0.000 0.749 0.582
Mg2 Mg 0.500 0.740 0.413
Mg3 Mg 0.500 0.000 0.168
Mg4 Mg 0.000 0.500 0.834
Mg5 Mg 0.500 0.500 0.668
Mg6 Mg 0.500 0.260 0.413
Mg7 Mg 0.000 0.251 0.582
Mg8 Mg 0.000 0.249 0.082
Mg9 Mg 0.500 0.240 0.913
Mg10 Mg 0.000 0.000 0.334
Mg11 Mg 0.000 0.751 0.082
Mg12 Mg 0.500 0.760 0.913
V1 V 0.000 0.500 0.340
V2 V 0.000 0.000 0.840
Na1 Na 0.500 0.500 0.169
Na2 Na 0.500 0.000 0.669
```

DFT formation energy ... 243 meV/atom
Energy above the most stable polymorph in this dataset ... 0.007 eV/atom

***

Density functional theory data (PBE) for a relaxed structure of AcInHg2.

Geometry as CIF:
```
data_AcInHg2
_chemical_formula_sum 'Ac1 In1 Hg2'
_cell_length_a 5.445
_cell_length_b 5.445
_cell_length_c 5.445
_cell_angle_alpha 60.00
_cell_angle_beta 60.00
_cell_angle_gamma 60.00
_space_group_name_H-M_alt 'P 1'
_space_group_IT_number 1
_space_group_name_Hall 'P 1'
loop_
_atom_site_label
_atom_site_type_symbol
_atom_site_fract_x
_atom_site_fract_y
_atom_site_fract_z
In1 In 0.500 0.500 0.500
Hg1 Hg 0.750 0.750 0.750
Hg2 Hg 0.250 0.250 0.250
Ac1 Ac 0.000 0.000 0.000
```

DFT formation energy ... -436 meV/atom
Crystal system ... cubic

***

Density functional theory data (PBE) for a relaxed structure of Mg2ZnAs2.

Geometry as CIF:
```
data_Mg2ZnAs2
_chemical_formula_sum 'Mg4 Zn2 As4'
_cell_length_a 4.187
_cell_length_b 4.187
_cell_length_c 13.547
_cell_angle_alpha 90.00
_cell_angle_beta 90.00
_cell_angle_gamma 120.00
_space_group_name_H-M_alt 'P 1'
_space_group_IT_number 1
_space_group_name_Hall 'P 1'
loop_
_atom_site_label
_atom_site_type_symbol
_atom_site_fract_x
_atom_site_fract_y
_atom_site_fract_z
Zn1 Zn 0.667 0.333 0.684
Zn2 Zn 0.667 0.333 0.184
Mg1 Mg 0.333 0.667 0.816
Mg2 Mg 0.000 0.000 0.498
Mg3 Mg 0.333 0.667 0.316
Mg4 Mg 0.000 0.000 0.998
As1 As 0.333 0.667 0.118
As2 As 0.667 0.333 0.385
As3 As 0.333 0.667 0.618
As4 As 0.667 0.333 0.885
```

DFT formation energy ... -473 meV/atom
Energy above the most stable polymorph in this dataset ... 0.000 eV/atom

***

Density functional theory data (PBE) for a relaxed structure of Zr2N2O.

Geometry as CIF:
```
data_Zr2N2O
_chemical_formula_sum 'Zr16 N16 O8'
_cell_length_a 8.882
_cell_length_b 8.865
_cell_length_c 8.880
_cell_angle_alpha 109.52
_cell_angle_beta 109.43
_cell_angle_gamma 109.43
_space_group_name_H-M_alt 'P 1'
_space_group_IT_number 1
_space_group_name_Hall 'P 1'
loop_
_atom_site_label
_atom_site_type_symbol
_atom_site_fract_x
_atom_site_fract_y
_atom_site_fract_z
N1 N 0.740 0.230 0.275
N2 N 0.545 0.535 0.772
N3 N 0.958 0.730 0.993
N4 N 0.266 0.776 0.730
N5 N 0.228 0.272 0.742
N6 N 0.272 0.736 0.223
N7 N 0.983 0.952 0.724
N8 N 0.226 0.451 0.462
N9 N 0.278 0.016 0.049
N10 N 0.730 0.989 0.958
N11 N 0.456 0.464 0.228
N12 N 0.030 0.486 0.758
N13 N 0.239 0.969 0.509
N14 N 0.774 0.727 0.260
N15 N 0.534 0.773 0.543
N16 N 0.726 0.259 0.773
Zr1 Zr 0.750 0.780 0.032
Zr2 Zr 0.046 0.762 0.793
Zr3 Zr 0.956 0.248 0.217
Zr4 Zr 0.282 0.531 0.742
Zr5 Zr 0.246 0.214 0.963
Zr6 Zr 0.998 0.505 0.989
Zr7 Zr 0.499 0.996 0.999
Zr8 Zr 0.532 0.742 0.286
Zr9 Zr 0.491 0.506 0.502
Zr10 Zr 0.213 0.954 0.243
Zr11 Zr 0.464 0.250 0.712
Zr12 Zr 0.757 0.288 0.540
Zr13 Zr 0.708 0.468 0.252
Zr14 Zr 0.780 0.032 0.754
Zr15 Zr 0.010 0.999 0.510
Zr16 Zr 0.255 0.718 0.466
O1 O 0.489 0.765 0.036
O2 O 0.770 0.542 0.532
O3 O 0.513 0.239 0.967
O4 O 0.048 0.275 0.015
O5 O 0.965 0.507 0.235
O6 O 0.470 0.231 0.457
O7 O 0.012 0.049 0.275
O8 O 0.760 0.035 0.485
```

DFT formation energy ... -2190 meV/atom
Crystal system ... triclinic

***

Density functional theory data (PBE) for a relaxed structure of U2Ni12As7.

Geometry as CIF:
```
data_U2Ni12As7
_chemical_formula_sum 'U2 Ni12 As7'
_cell_length_a 9.380
_cell_length_b 9.380
_cell_length_c 3.806
_cell_angle_alpha 90.00
_cell_angle_beta 90.00
_cell_angle_gamma 120.00
_space_group_name_H-M_alt 'P 1'
_space_group_IT_number 1
_space_group_name_Hall 'P 1'
loop_
_atom_site_label
_atom_site_type_symbol
_atom_site_fract_x
_atom_site_fract_y
_atom_site_fract_z
Ni1 Ni 0.958 0.574 0.000
Ni2 Ni 0.097 0.213 0.000
Ni3 Ni 0.558 0.611 0.500
Ni4 Ni 0.872 0.719 0.500
Ni5 Ni 0.787 0.884 0.000
Ni6 Ni 0.389 0.947 0.500
Ni7 Ni 0.847 0.128 0.500
Ni8 Ni 0.616 0.042 0.000
Ni9 Ni 0.053 0.442 0.500
Ni10 Ni 0.426 0.384 0.000
Ni11 Ni 0.281 0.153 0.500
Ni12 Ni 0.116 0.903 0.000
As1 As 0.000 0.000 0.500
As2 As 0.886 0.294 0.000
As3 As 0.408 0.114 0.000
As4 As 0.597 0.877 0.500
As5 As 0.706 0.592 0.000
As6 As 0.280 0.403 0.500
As7 As 0.123 0.720 0.500
U1 U 0.667 0.333 0.500
U2 U 0.333 0.667 0.000
```

DFT formation energy ... -399 meV/atom
Crystal system ... hexagonal

***

Density functional theory data (PBE) for a relaxed structure of HfVSi.

Geometry as CIF:
```
data_HfVSi
_chemical_formula_sum 'Hf4 V4 Si4'
_cell_length_a 5.057
_cell_length_b 5.057
_cell_length_c 8.458
_cell_angle_alpha 90.00
_cell_angle_beta 90.00
_cell_angle_gamma 118.21
_space_group_name_H-M_alt 'P 1'
_space_group_IT_number 1
_space_group_name_Hall 'P 1'
loop_
_atom_site_label
_atom_site_type_symbol
_atom_site_fract_x
_atom_site_fract_y
_atom_site_fract_z
Si1 Si 0.828 0.650 0.000
Si2 Si 0.993 0.007 0.260
Si3 Si 0.993 0.007 0.740
Si4 Si 0.350 0.172 0.000
Hf1 Hf 0.669 0.331 0.311
Hf2 Hf 0.332 0.668 0.186
Hf3 Hf 0.669 0.331 0.689
Hf4 Hf 0.332 0.668 0.814
V1 V 0.838 0.162 0.000
V2 V 0.176 0.352 0.500
V3 V 0.648 0.824 0.500
V4 V 0.172 0.828 0.500
```

DFT formation energy ... -433 meV/atom
Crystal system ... orthorhombic

***

Density functional theory data (PBE) for a relaxed structure of TlCdF3.

Geometry as CIF:
```
data_TlCdF3
_chemical_formula_sum 'Tl8 Cd8 F24'
_cell_length_a 6.308
_cell_length_b 8.878
_cell_length_c 12.767
_cell_angle_alpha 90.00
_cell_angle_beta 90.00
_cell_angle_gamma 90.00
_space_group_name_H-M_alt 'P 1'
_space_group_IT_number 1
_space_group_name_Hall 'P 1'
loop_
_atom_site_label
_atom_site_type_symbol
_atom_site_fract_x
_atom_site_fract_y
_atom_site_fract_z
Cd1 Cd 0.755 0.250 0.375
Cd2 Cd 0.745 0.250 0.875
Cd3 Cd 0.745 0.750 0.875
Cd4 Cd 0.255 0.250 0.125
Cd5 Cd 0.245 0.750 0.625
Cd6 Cd 0.255 0.750 0.125
Cd7 Cd 0.755 0.750 0.375
Cd8 Cd 0.245 0.250 0.625
F1 F 0.500 0.205 0.000
F2 F 0.739 0.000 0.841
F3 F 0.021 0.712 0.255
F4 F 0.021 0.288 0.255
F5 F 0.500 0.795 0.000
F6 F 0.000 0.219 0.000
F7 F 0.761 0.000 0.341
F8 F 0.261 0.000 0.159
F9 F 0.479 0.288 0.755
F10 F 0.979 0.712 0.745
F11 F 0.239 0.000 0.659
F12 F 0.718 0.500 0.908
F13 F 0.500 0.781 0.500
F14 F 0.521 0.712 0.245
F15 F 0.479 0.712 0.755
F16 F 0.000 0.205 0.500
F17 F 0.218 0.500 0.592
F18 F 0.782 0.500 0.408
F19 F 0.282 0.500 0.092
F20 F 0.000 0.781 0.000
F21 F 0.521 0.288 0.245
F22 F 0.979 0.288 0.745
F23 F 0.000 0.795 0.500
F24 F 0.500 0.219 0.500
Tl1 Tl 0.252 0.500 0.872
Tl2 Tl 0.746 0.000 0.121
Tl3 Tl 0.754 0.000 0.621
Tl4 Tl 0.246 0.000 0.379
Tl5 Tl 0.752 0.500 0.628
Tl6 Tl 0.254 0.000 0.879
Tl7 Tl 0.248 0.500 0.372
Tl8 Tl 0.748 0.500 0.128
```

DFT formation energy ... -2298 meV/atom
Crystal system ... orthorhombic

***

Density functional theory data (PBE) for a relaxed structure of MgCuO2.

Geometry as CIF:
```
data_MgCuO2
_chemical_formula_sum 'Mg4 Cu4 O8'
_cell_length_a 2.879
_cell_length_b 8.082
_cell_length_c 7.565
_cell_angle_alpha 96.10
_cell_angle_beta 89.71
_cell_angle_gamma 69.12
_space_group_name_H-M_alt 'P 1'
_space_group_IT_number 1
_space_group_name_Hall 'P 1'
loop_
_atom_site_label
_atom_site_type_symbol
_atom_site_fract_x
_atom_site_fract_y
_atom_site_fract_z
O1 O 0.141 0.101 0.720
O2 O 0.579 0.158 0.054
O3 O 0.980 0.255 0.413
O4 O 0.415 0.824 0.974
O5 O 0.019 0.722 0.614
O6 O 0.852 0.879 0.307
O7 O 0.724 0.512 0.182
O8 O 0.273 0.471 0.849
Cu1 Cu 0.661 0.583 0.725
Cu2 Cu 0.564 0.176 0.570
Cu3 Cu 0.434 0.799 0.455
Cu4 Cu 0.337 0.397 0.305
Mg1 Mg 0.797 0.945 0.840
Mg2 Mg 0.935 0.306 0.948
Mg3 Mg 0.197 0.036 0.188
Mg4 Mg 0.061 0.676 0.080
```

DFT formation energy ... -1914 meV/atom
Crystal system ... triclinic